# LiNiP4O12

LiNiP4O12 after structural relaxation (PBE+U, the Materials Project).

Output
Space-group type ... C2/m, No. 12

a = 10.261 Å, b = 10.261 Å, c = 5.119 Å
α = 98.13°, β = 98.13°, γ = 72.65°
Fractional positions:
Li  0.086  0.086  0.073
Li  0.914  0.914  0.927
Ni  0.000  0.500  0.500
Ni  0.500  0.000  0.500
P  0.132  0.711  0.320
P  0.192  0.437  0.008
P  0.289  0.868  0.680
P  0.437  0.192  0.008
P  0.563  0.808  0.992
P  0.711  0.132  0.320
P  0.808  0.563  0.992
P  0.868  0.289  0.680
O  0.047  0.665  0.490
O  0.060  0.834  0.181
O  0.098  0.395  0.158
O  0.166  0.940  0.819
O  0.168  0.427  0.707
O  0.208  0.585  0.119
O  0.268  0.732  0.500
O  0.335  0.953  0.510
O  0.350  0.350  0.071
O  0.395  0.098  0.158
O  0.415  0.792  0.881
O  0.427  0.168  0.707
O  0.573  0.832  0.293
O  0.585  0.208  0.119
O  0.605  0.902  0.842
O  0.650  0.650  0.929
O  0.665  0.047  0.490
O  0.732  0.268  0.500
O  0.792  0.415  0.881
O  0.832  0.573  0.293
O  0.834  0.060  0.181
O  0.902  0.605  0.842
O  0.940  0.166  0.819
O  0.953  0.335  0.510

=====

# LiCoCSO7

LiCoCSO7 after structural relaxation (PBE+U, the Materials Project).

Output
Space-group type ... P2_1, No. 4

a = 5.133 Å, b = 6.465 Å, c = 8.822 Å
α = 90.00°, β = 93.54°, γ = 90.00°
Fractional positions:
Li  0.221  0.000  0.300
Li  0.779  0.500  0.700
Co  0.216  0.246  0.845
Co  0.784  0.746  0.155
C  0.272  0.271  0.570
C  0.728  0.771  0.430
S  0.271  0.760  0.925
S  0.729  0.260  0.075
O  0.045  0.279  0.629
O  0.149  0.777  0.073
O  0.170  0.580  0.837
O  0.211  0.945  0.829
O  0.304  0.234  0.434
O  0.440  0.246  0.045
O  0.465  0.297  0.675
O  0.535  0.797  0.325
O  0.560  0.746  0.955
O  0.696  0.734  0.566
O  0.789  0.445  0.171
O  0.830  0.080  0.163
O  0.851  0.277  0.927
O  0.955  0.779  0.371

=====

# Nd2P3H5WO9

Nd2P3H5WO9 after structural relaxation (PBE+U, the Materials Project).

Output
Space-group type ... P2_1/c, No. 14

a = 9.859 Å, b = 8.812 Å, c = 13.547 Å
α = 90.00°, β = 115.71°, γ = 90.00°
Fractional positions:
Nd  0.078  0.200  0.459
Nd  0.078  0.300  0.959
Nd  0.312  0.040  0.251
Nd  0.312  0.460  0.751
Nd  0.688  0.540  0.249
Nd  0.688  0.960  0.749
Nd  0.922  0.700  0.041
Nd  0.922  0.800  0.541
P  0.033  0.587  0.333
P  0.033  0.913  0.833
P  0.269  0.698  0.079
P  0.269  0.802  0.579
P  0.439  0.249  0.061
P  0.439  0.251  0.561
P  0.561  0.749  0.439
P  0.561  0.751  0.939
P  0.731  0.198  0.421
P  0.731  0.302  0.921
P  0.967  0.087  0.167
P  0.967  0.413  0.667
H  0.151  0.683  0.343
H  0.151  0.817  0.843
H  0.259  0.729  0.484
H  0.259  0.771  0.984
H  0.261  0.518  0.283
H  0.261  0.982  0.783
H  0.490  0.522  0.714
H  0.490  0.978  0.214
H  0.497  0.606  0.443
H  0.497  0.894  0.943
H  0.503  0.106  0.057
H  0.503  0.394  0.557
H  0.510  0.022  0.786
H  0.510  0.478  0.286
H  0.739  0.018  0.217
H  0.739  0.482  0.717
H  0.741  0.229  0.016
H  0.741  0.271  0.516
H  0.849  0.183  0.157
H  0.849  0.317  0.657
W  0.403  0.125  0.839
W  0.403  0.375  0.339
W  0.597  0.625  0.661
W  0.597  0.875  0.161
O  0.063  0.165  0.116
O  0.063  0.335  0.616
O  0.071  0.069  0.292
O  0.071  0.431  0.792
O  0.095  0.064  0.891
O  0.095  0.436  0.391
O  0.160  0.561  0.041
O  0.160  0.939  0.541
O  0.203  0.690  0.636
O  0.203  0.810  0.136
O  0.329  0.226  0.114
O  0.329  0.274  0.614
O  0.334  0.207  0.439
O  0.334  0.293  0.939
O  0.431  0.644  0.882
O  0.431  0.856  0.382
O  0.439  0.667  0.142
O  0.439  0.833  0.642
O  0.561  0.167  0.358
O  0.561  0.333  0.858
O  0.569  0.144  0.618
O  0.569  0.356  0.118
O  0.666  0.707  0.061
O  0.666  0.793  0.561
O  0.671  0.726  0.386
O  0.671  0.774  0.886
O  0.797  0.190  0.864
O  0.797  0.310  0.364
O  0.840  0.061  0.459
O  0.840  0.439  0.959
O  0.905  0.564  0.609
O  0.905  0.936  0.109
O  0.929  0.569  0.208
O  0.929  0.931  0.708
O  0.937  0.665  0.384
O  0.937  0.835  0.884

=====

# Ba2CdMoO6

Ba2CdMoO6 after structural relaxation (PBE+U, the Materials Project).

Output
Space-group type ... Fm-3m, No. 225

a = 5.993 Å, b = 5.993 Å, c = 5.993 Å
α = 60.00°, β = 60.00°, γ = 60.00°
Fractional positions:
Ba  0.250  0.250  0.250
Ba  0.750  0.750  0.750
Cd  0.000  0.000  0.000
Mo  0.500  0.500  0.500
O  0.270  0.270  0.730
O  0.270  0.730  0.270
O  0.270  0.730  0.730
O  0.730  0.270  0.270
O  0.730  0.270  0.730
O  0.730  0.730  0.270

=====

# FeOF

FeOF after structural relaxation (PBE+U, the Materials Project).

Output
Space-group type ... Pm, No. 6

a = 9.513 Å, b = 3.108 Å, c = 14.154 Å
α = 90.00°, β = 90.09°, γ = 90.00°
Fractional positions:
Fe  0.000  0.000  0.000
Fe  0.001  0.000  0.334
Fe  0.002  0.000  0.671
Fe  0.249  0.500  0.526
Fe  0.251  0.500  0.193
Fe  0.253  0.500  0.862
Fe  0.503  0.000  0.334
Fe  0.504  0.000  0.002
Fe  0.533  0.000  0.691
Fe  0.748  0.500  0.859
Fe  0.751  0.500  0.529
Fe  0.752  0.500  0.193
O  0.158  0.000  0.247
O  0.159  0.000  0.913
O  0.165  0.000  0.583
O  0.407  0.500  0.285
O  0.410  0.500  0.950
O  0.611  0.500  0.751
O  0.656  0.000  0.579
O  0.659  0.000  0.246
O  0.662  0.000  0.917
O  0.908  0.500  0.949
O  0.909  0.500  0.284
O  0.912  0.500  0.616
F  0.104  0.500  0.081
F  0.106  0.500  0.746
F  0.107  0.500  0.416
F  0.352  0.000  0.780
F  0.354  0.000  0.116
F  0.357  0.000  0.455
F  0.412  0.500  0.619
F  0.605  0.500  0.082
F  0.605  0.500  0.414
F  0.854  0.000  0.117
F  0.855  0.000  0.450
F  0.863  0.000  0.783

=====

# FePH6NO5

FePH6NO5 after structural relaxation (PBE+U, the Materials Project).

Output
Space-group type ... P1, No. 1

a = 4.832 Å, b = 5.709 Å, c = 18.048 Å
α = 90.01°, β = 90.04°, γ = 90.05°
Fractional positions:
Fe  0.000  0.000  0.000
Fe  0.000  0.001  0.500
Fe  0.500  0.500  0.023
Fe  0.500  0.500  0.523
P  0.427  0.998  0.110
P  0.434  0.002  0.609
P  0.928  0.498  0.413
P  0.933  0.502  0.914
H  0.055  0.004  0.238
H  0.056  0.000  0.738
H  0.196  0.503  0.283
H  0.197  0.500  0.783
H  0.382  0.348  0.220
H  0.382  0.647  0.217
H  0.384  0.356  0.717
H  0.384  0.655  0.720
H  0.426  0.144  0.915
H  0.429  0.860  0.417
H  0.437  0.135  0.416
H  0.445  0.871  0.916
H  0.555  0.504  0.285
H  0.556  0.500  0.785
H  0.696  0.003  0.240
H  0.697  0.000  0.740
H  0.882  0.146  0.306
H  0.882  0.847  0.303
H  0.884  0.154  0.804
H  0.884  0.855  0.806
H  0.925  0.645  0.608
H  0.930  0.361  0.106
H  0.934  0.636  0.106
H  0.946  0.371  0.607
N  0.378  0.500  0.251
N  0.380  0.503  0.751
N  0.879  0.000  0.272
N  0.880  0.002  0.772
O  0.239  0.499  0.429
O  0.245  0.501  0.930
O  0.276  0.210  0.070
O  0.282  0.774  0.077
O  0.284  0.790  0.571
O  0.292  0.226  0.575
O  0.310  0.000  0.410
O  0.314  0.001  0.909
O  0.378  0.009  0.195
O  0.384  0.996  0.694
O  0.738  0.999  0.094
O  0.746  0.000  0.594
O  0.777  0.709  0.453
O  0.784  0.273  0.446
O  0.784  0.288  0.951
O  0.790  0.725  0.948
O  0.809  0.500  0.112
O  0.814  0.501  0.614
O  0.878  0.511  0.328
O  0.884  0.497  0.829

=====

# CoP3H15C3NO12

CoP3H15C3NO12 after structural relaxation (PBE+U, the Materials Project).

Output
Space-group type ... P2_1/c, No. 14

a = 9.255 Å, b = 16.297 Å, c = 9.894 Å
α = 90.00°, β = 115.31°, γ = 90.00°
Fractional positions:
Co  0.044  0.208  0.173
Co  0.044  0.292  0.673
Co  0.956  0.708  0.327
Co  0.956  0.792  0.827
P  0.050  0.119  0.885
P  0.050  0.381  0.385
P  0.326  0.717  0.008
P  0.326  0.783  0.508
P  0.439  0.039  0.715
P  0.439  0.461  0.215
P  0.561  0.539  0.785
P  0.561  0.961  0.285
P  0.674  0.217  0.492
P  0.674  0.283  0.992
P  0.950  0.619  0.615
P  0.950  0.881  0.115
H  0.093  0.667  0.140
H  0.093  0.833  0.640
H  0.097  0.002  0.253
H  0.097  0.498  0.753
H  0.097  0.582  0.876
H  0.097  0.918  0.376
H  0.182  0.613  0.282
H  0.182  0.887  0.782
H  0.184  0.231  0.505
H  0.184  0.269  0.005
H  0.246  0.713  0.746
H  0.246  0.787  0.246
H  0.267  0.182  0.664
H  0.267  0.318  0.164
H  0.273  0.083  0.867
H  0.273  0.417  0.367
H  0.278  0.111  0.413
H  0.278  0.389  0.913
H  0.293  0.564  0.598
H  0.293  0.936  0.098
H  0.297  0.023  0.206
H  0.297  0.477  0.706
H  0.355  0.167  0.331
H  0.355  0.333  0.831
H  0.426  0.595  0.229
H  0.426  0.905  0.729
H  0.446  0.677  0.844
H  0.446  0.823  0.344
H  0.476  0.667  0.577
H  0.476  0.833  0.077
H  0.524  0.167  0.923
H  0.524  0.333  0.423
H  0.554  0.177  0.656
H  0.554  0.323  0.156
H  0.574  0.095  0.271
H  0.574  0.405  0.771
H  0.645  0.667  0.169
H  0.645  0.833  0.669
H  0.703  0.523  0.294
H  0.703  0.977  0.794
H  0.707  0.064  0.902
H  0.707  0.436  0.402
H  0.722  0.611  0.087
H  0.722  0.889  0.587
H  0.727  0.583  0.633
H  0.727  0.917  0.133
H  0.733  0.682  0.836
H  0.733  0.818  0.336
H  0.754  0.213  0.754
H  0.754  0.287  0.254
H  0.816  0.731  0.995
H  0.816  0.769  0.495
H  0.818  0.113  0.218
H  0.818  0.387  0.718
H  0.903  0.082  0.624
H  0.903  0.418  0.124
H  0.903  0.502  0.247
H  0.903  0.998  0.747
H  0.907  0.167  0.360
H  0.907  0.333  0.860
C  0.115  0.564  0.777
C  0.115  0.936  0.277
C  0.324  0.672  0.835
C  0.324  0.828  0.335
C  0.340  0.541  0.714
C  0.340  0.959  0.214
C  0.660  0.041  0.786
C  0.660  0.459  0.286
C  0.676  0.172  0.665
C  0.676  0.328  0.165
C  0.885  0.064  0.723
C  0.885  0.436  0.223
N  0.269  0.589  0.793
N  0.269  0.911  0.293
N  0.731  0.089  0.707
N  0.731  0.411  0.207
O  0.009  0.115  0.018
O  0.009  0.385  0.518
O  0.066  0.204  0.831
O  0.066  0.296  0.331
O  0.080  0.639  0.223
O  0.080  0.861  0.723
O  0.155  0.720  0.993
O  0.155  0.780  0.493
O  0.195  0.227  0.608
O  0.195  0.273  0.108
O  0.200  0.063  0.913
O  0.200  0.437  0.413
O  0.253  0.155  0.335
O  0.253  0.345  0.835
O  0.359  0.042  0.548
O  0.359  0.458  0.048
O  0.385  0.694  0.490
O  0.385  0.806  0.990
O  0.394  0.109  0.797
O  0.394  0.391  0.297
O  0.412  0.544  0.284
O  0.412  0.956  0.784
O  0.446  0.673  0.146
O  0.446  0.827  0.646
O  0.554  0.173  0.354
O  0.554  0.327  0.854
O  0.588  0.044  0.216
O  0.588  0.456  0.716
O  0.606  0.609  0.703
O  0.606  0.891  0.203
O  0.615  0.194  0.010
O  0.615  0.306  0.510
O  0.641  0.542  0.952
O  0.641  0.958  0.452
O  0.747  0.655  0.165
O  0.747  0.845  0.665
O  0.800  0.563  0.587
O  0.800  0.937  0.087
O  0.805  0.727  0.892
O  0.805  0.773  0.392
O  0.845  0.220  0.507
O  0.845  0.280  0.007
O  0.920  0.139  0.277
O  0.920  0.361  0.777
O  0.934  0.704  0.669
O  0.934  0.796  0.169
O  0.991  0.615  0.482
O  0.991  0.885  0.982

=====

# CrO3

CrO3 after structural relaxation (PBE+U, the Materials Project).

Output
Space-group type ... P2_1/c, No. 14

a = 6.996 Å, b = 4.625 Å, c = 9.739 Å
α = 90.00°, β = 108.45°, γ = 90.00°
Fractional positions:
Cr  0.158  0.025  0.289
Cr  0.158  0.475  0.789
Cr  0.842  0.525  0.211
Cr  0.842  0.975  0.711
O  0.004  0.226  0.663
O  0.004  0.274  0.163
O  0.289  0.192  0.431
O  0.289  0.308  0.931
O  0.300  0.641  0.716
O  0.300  0.859  0.216
O  0.700  0.141  0.784
O  0.700  0.359  0.284
O  0.711  0.692  0.069
O  0.711  0.808  0.569
O  0.996  0.726  0.837
O  0.996  0.774  0.337

=====

| no. | DFT formation energy (eV/atom) | V (Å³/cell) |
| --- | --- | --- |
| 1 | -2.3503 | 506.5 |
| 2 | -1.7789 | 292.2 |
| 3 | -1.9310 | 1060.5 |
| 4 | -2.4730 | 152.2 |
| 5 | -2.0443 | 418.5 |
| 6 | -1.4819 | 497.9 |
| 7 | -1.1892 | 1349.2 |
| 8 | -1.4797 | 298.9 |